1.
# SnPd3, optimized geometry, DFT PBE
# Mass density in g/cm3: 10.39
# E_form in eV/atom: -0.1231
# Total energy in eV/cell: -20.04
data_SnPd3
_cell_length_a 3.085
_cell_length_b 3.085
_cell_length_c 8.677
_cell_angle_alpha 79.76
_cell_angle_beta 100.24
_cell_angle_gamma 120.00
_symmetry_space_group_name_H-M 'P 1'
_symmetry_Int_Tables_number 1
loop_
_symmetry_equiv_pos_as_xyz
'x,y,z'
loop_
_atom_site_label
_atom_site_type_symbol
_atom_site_fract_x
_atom_site_fract_y
_atom_site_fract_z
_atom_site_occupancy
Sn1 Sn 0.000 0.000 0.000 1
Pd1 Pd 0.748 0.252 0.244 1
Pd2 Pd 0.500 0.500 0.500 1
Pd3 Pd 0.252 0.748 0.756 1

---

2.
# SnPd, optimized geometry, DFT PBE
# Mass density in g/cm3: 9.34
# E_form in eV/atom: -0.5318
# Total energy in eV/cell: -41.01
data_SnPd
_cell_length_a 3.909
_cell_length_b 6.336
_cell_length_c 6.461
_cell_angle_alpha 90.00
_cell_angle_beta 90.00
_cell_angle_gamma 90.00
_symmetry_space_group_name_H-M 'P 1'
_symmetry_Int_Tables_number 1
loop_
_symmetry_equiv_pos_as_xyz
'x,y,z'
loop_
_atom_site_label
_atom_site_type_symbol
_atom_site_fract_x
_atom_site_fract_y
_atom_site_fract_z
_atom_site_occupancy
Sn1 Sn 0.750 0.308 0.909 1
Sn2 Sn 0.750 0.808 0.591 1
Sn3 Sn 0.250 0.692 0.091 1
Sn4 Sn 0.250 0.192 0.409 1
Pd1 Pd 0.750 0.490 0.313 1
Pd2 Pd 0.750 0.990 0.187 1
Pd3 Pd 0.250 0.510 0.687 1
Pd4 Pd 0.250 0.010 0.813 1